Computed, not measured: TmCu2 after structural relaxation at the GGA-PBE level of DFT.

Formation energy, meV/atom: -288.9
VASP energy, eV/atom: -4.514

Cell lengths 4.2877, 5.3564, 5.3564 Å; angles 77.00, 66.41, 66.41 degrees
Element x y z (fractional)
Cu (0.1653, 0.8831, 0.7862)
Cu (0.8347, 0.7138, 0.6169)
Cu (0.1653, 0.2862, 0.3831)
Cu (0.8347, 0.1169, 0.2138)
Tm (0.5429, 0.7071, 0.2071)
Tm (0.4571, 0.2929, 0.7929)

Computed, not measured: YCu after structural relaxation at the GGA-PBE level of DFT.

Formation energy, meV/atom: -258.6
VASP energy, eV/atom: -5.541

Cell lengths 4.4480, 5.4176, 7.2077 Å; angles 90.00, 90.00, 90.00 degrees
Element x y z (fractional)
Cu (0.7500, 0.3759, 0.9680)
Cu (0.2500, 0.6241, 0.0320)
Cu (0.7500, 0.1241, 0.4680)
Cu (0.2500, 0.8759, 0.5320)
Y (0.7500, 0.8668, 0.8189)
Y (0.2500, 0.3668, 0.6811)
Y (0.7500, 0.6332, 0.3189)
Y (0.2500, 0.1332, 0.1811)

Computed, not measured: YCu5 after structural relaxation at the GGA-PBE level of DFT.

Formation energy, meV/atom: -190.2
VASP energy, eV/atom: -4.684

Cell lengths 4.0712, 5.0414, 5.0414 Å; angles 120.00, 90.00, 90.00 degrees
Element x y z (fractional)
Y (0.0000, 0.0000, 0.0000)
Cu (0.5000, 0.0000, 0.5000)
Cu (0.0000, 0.6667, 0.3333)
Cu (0.0000, 0.3333, 0.6667)
Cu (0.5000, 0.5000, 0.0000)
Cu (0.5000, 0.5000, 0.5000)

Computed, not measured: YCu after structural relaxation at the GGA-PBE level of DFT.

Formation energy, meV/atom: -244.9
VASP energy, eV/atom: -5.528

Cell lengths 3.4791, 3.4791, 3.4791 Å; angles 90.00, 90.00, 90.00 degrees
Element x y z (fractional)
Cu (0.5000, 0.5000, 0.5000)
Y (0.0000, 0.0000, 0.0000)

Computed, not measured: ZnCu3 after structural relaxation at the GGA-PBE level of DFT.

Formation energy, meV/atom: -20.4
VASP energy, eV/atom: -3.410

Cell lengths 8.4710, 8.4710, 8.4710 Å; angles 17.80, 17.80, 17.80 degrees
Element x y z (fractional)
Zn (0.0000, 0.0000, 0.0000)
Cu (0.2486, 0.2486, 0.2486)
Cu (0.7514, 0.7514, 0.7514)
Cu (0.5000, 0.5000, 0.5000)

Computed, not measured: ZnCu after structural relaxation at the GGA-PBE level of DFT.

Formation energy, meV/atom: -90.8
VASP energy, eV/atom: -2.770

Cell lengths 2.9606, 2.9606, 2.9606 Å; angles 90.00, 90.00, 90.00 degrees
Element x y z (fractional)
Zn (0.5000, 0.5000, 0.5000)
Cu (0.0000, 0.0000, 0.0000)